# CaCrF5 (r2SCAN, relaxed)
# ΔE_f (meV per atom): -3547
# DFT total energy (eV/atom): -8.94
# Symmetry: No. 15
# Crystal system: monoclinic
data_CaCrF5
_space_group_name_H-M_alt 'P 1'
_space_group_IT_number 1
_space_group_name_Hall 'P 1'
_cell_length_a 5.533
_cell_length_b 5.533
_cell_length_c 7.531
_cell_angle_alpha 70.00
_cell_angle_beta 70.00
_cell_angle_gamma 71.44
loop_
_atom_site_label
_atom_site_type_symbol
_atom_site_fract_x
_atom_site_fract_y
_atom_site_fract_z
_atom_site_occupancy
Cr1 Cr 0.000 0.000 0.500 1
Cr2 Cr 0.000 0.000 0.000 1
F1 F 0.750 0.791 0.118 1
F2 F 0.282 0.695 0.971 1
F3 F 0.925 0.075 0.750 1
F4 F 0.791 0.750 0.618 1
F5 F 0.250 0.209 0.882 1
F6 F 0.209 0.250 0.382 1
F7 F 0.075 0.925 0.250 1
F8 F 0.305 0.718 0.529 1
F9 F 0.695 0.282 0.471 1
F10 F 0.718 0.305 0.029 1
Ca1 Ca 0.545 0.455 0.750 1
Ca2 Ca 0.455 0.545 0.250 1